(1)
Compound: LuGaRh2
Source: the Materials Project database
Functional: PBE
Structure: optimized geometry

Cell lengths 4.5082, 4.5082, 4.5082 Å; angles 60.00, 60.00, 60.00 degrees
Sites, in units of the cell vectors:
Rh 0.2500 0.2500 0.2500
Rh 0.7500 0.7500 0.7500
Lu 0.0000 0.0000 0.0000
Ga 0.5000 0.5000 0.5000

Output
Uncorrected energy ... -6.48 eV per atom

(2)
Compound: Lu3Ga8Rh3
Source: the Materials Project database
Functional: PBE
Structure: optimized geometry

Cell lengths 8.0871, 8.0871, 8.0871 Å; angles 149.96, 104.51, 83.32 degrees
Sites, in units of the cell vectors:
Lu 0.8252 0.8252 0.0000
Lu 0.1748 0.1748 0.0000
Lu 0.5000 0.5000 0.0000
Rh 0.0000 0.5000 0.5000
Rh 0.7940 0.0000 0.7940
Rh 0.2060 0.0000 0.2060
Ga 0.7878 0.1605 0.6273
Ga 0.2122 0.8395 0.3727
Ga 0.3395 0.6270 0.7126
Ga 0.5332 0.1605 0.3727
Ga 0.4668 0.8395 0.6273
Ga 0.9144 0.6270 0.2874
Ga 0.6605 0.3730 0.2874
Ga 0.0856 0.3730 0.7126

Output
Uncorrected energy ... -4.95 eV per atom
Magnetization ... 0.00 μB per formula unit

(3)
Compound: Lu2GaRu
Source: the Materials Project database
Functional: PBE
Structure: optimized geometry

Cell lengths 4.8287, 4.8287, 4.8287 Å; angles 60.00, 60.00, 60.00 degrees
Sites, in units of the cell vectors:
Lu 0.7500 0.7500 0.7500
Lu 0.2500 0.2500 0.2500
Ru 0.0000 0.0000 0.0000
Ga 0.5000 0.5000 0.5000

Output
Uncorrected energy ... -5.86 eV per atom

Let's list energy relative to the elements in order: -0.914, -0.671, -0.526 eV/atom.